(1)
This record from the Materials Project describes a relaxed structure of NaLaAu2. The functional is PBE-GGA.

Values from the calculation:
- Energy: -15.3 eV per cell
- Energy relative to the elements: -0.624 eV/atom

a = 5.180 Å, b = 5.180 Å, c = 5.180 Å
α = 60.00°, β = 60.00°, γ = 60.00°
Fractional positions:
Na  0.000  0.000  0.000
La  0.500  0.500  0.500
Au  0.250  0.250  0.250
Au  0.750  0.750  0.750



(2)
This record from the Materials Project describes a relaxed structure of Na2H2Pd. The functional is PBE-GGA.

Values from the calculation:
- Energy: -15.9 eV per cell
- Energy relative to the elements: -0.261 eV/atom

a = 6.255 Å, b = 6.255 Å, c = 6.255 Å
α = 146.65°, β = 146.65°, γ = 47.88°
Fractional positions:
Na  0.140  0.140  0.000
Na  0.860  0.860  0.000
H  0.351  0.351  0.000
H  0.649  0.649  0.000
Pd  0.500  0.500  0.000



(3)
This record from the Materials Project describes a relaxed structure of CsHfMg30O31. The functional is PBE-GGA.

Values from the calculation:
- Energy: -369.7 eV per cell
- Energy relative to the lowest polymorph listed for this composition: 0 meV/atom
- Energy relative to the elements: -2.838 eV/atom
- Total moment: 0.0 Bohr magnetons per cell

a = 8.771 Å, b = 8.772 Å, c = 8.664 Å
α = 90.00°, β = 90.00°, γ = 90.00°
Fractional positions:
Cs  0.000  0.000  0.000
Hf  0.500  0.000  0.055
Mg  0.000  0.000  0.561
Mg  0.000  0.252  0.305
Mg  0.000  0.267  0.790
Mg  0.000  0.500  0.058
Mg  0.000  0.500  0.547
Mg  0.000  0.733  0.790
Mg  0.000  0.748  0.305
Mg  0.240  0.000  0.310
Mg  0.245  0.262  0.056
Mg  0.245  0.738  0.056
Mg  0.248  0.500  0.305
Mg  0.249  0.253  0.550
Mg  0.249  0.747  0.550
Mg  0.252  0.500  0.801
Mg  0.258  0.000  0.778
Mg  0.500  0.000  0.541
Mg  0.500  0.257  0.309
Mg  0.500  0.259  0.797
Mg  0.500  0.500  0.054
Mg  0.500  0.500  0.551
Mg  0.500  0.741  0.797
Mg  0.500  0.743  0.309
Mg  0.742  0.000  0.778
Mg  0.748  0.500  0.801
Mg  0.751  0.253  0.550
Mg  0.751  0.747  0.550
Mg  0.752  0.500  0.305
Mg  0.755  0.262  0.056
Mg  0.755  0.738  0.056
Mg  0.760  0.000  0.310
O  0.000  0.000  0.329
O  0.000  0.262  0.548
O  0.000  0.282  0.060
O  0.000  0.500  0.307
O  0.000  0.500  0.797
O  0.000  0.718  0.060
O  0.000  0.738  0.548
O  0.251  0.252  0.303
O  0.251  0.748  0.303
O  0.252  0.250  0.805
O  0.252  0.750  0.805
O  0.254  0.500  0.554
O  0.259  0.500  0.053
O  0.265  0.000  0.545
O  0.275  0.000  0.074
O  0.500  0.000  0.300
O  0.500  0.000  0.807
O  0.500  0.245  0.053
O  0.500  0.251  0.553
O  0.500  0.500  0.302
O  0.500  0.500  0.804
O  0.500  0.749  0.553
O  0.500  0.755  0.053
O  0.725  0.000  0.074
O  0.735  0.000  0.545
O  0.741  0.500  0.053
O  0.746  0.500  0.554
O  0.748  0.250  0.805
O  0.748  0.750  0.805
O  0.749  0.252  0.303
O  0.749  0.748  0.303



(4)
This record from the Materials Project describes a relaxed structure of Ba2EuCl7. The functional is PBE-GGA.

Values from the calculation:
- Energy: -199.1 eV per cell
- Energy relative to the elements: -2.705 eV/atom
- Total moment: 24.0 Bohr magnetons per cell

a = 7.046 Å, b = 15.769 Å, c = 10.752 Å
α = 90.00°, β = 91.27°, γ = 90.00°
Fractional positions:
Ba  0.228  0.062  0.328
Ba  0.228  0.438  0.828
Ba  0.229  0.722  0.448
Ba  0.229  0.778  0.948
Ba  0.771  0.222  0.052
Ba  0.771  0.278  0.552
Ba  0.772  0.562  0.172
Ba  0.772  0.938  0.672
Eu  0.286  0.126  0.785
Eu  0.286  0.374  0.285
Eu  0.714  0.626  0.715
Eu  0.714  0.874  0.215
Cl  0.008  0.104  0.582
Cl  0.008  0.241  0.306
Cl  0.008  0.259  0.806
Cl  0.008  0.396  0.082
Cl  0.196  0.544  0.291
Cl  0.196  0.956  0.791
Cl  0.209  0.141  0.036
Cl  0.209  0.359  0.536
Cl  0.358  0.570  0.623
Cl  0.358  0.930  0.123
Cl  0.496  0.725  0.204
Cl  0.496  0.775  0.704
Cl  0.498  0.604  0.930
Cl  0.498  0.896  0.430
Cl  0.502  0.104  0.570
Cl  0.502  0.396  0.070
Cl  0.504  0.225  0.296
Cl  0.504  0.275  0.796
Cl  0.642  0.070  0.877
Cl  0.642  0.430  0.377
Cl  0.791  0.641  0.464
Cl  0.791  0.859  0.964
Cl  0.804  0.044  0.209
Cl  0.804  0.456  0.709
Cl  0.992  0.604  0.918
Cl  0.992  0.741  0.194
Cl  0.992  0.759  0.694
Cl  0.992  0.896  0.418



(5)
This record from the Materials Project describes a relaxed structure of Rb3BS3O12. The functional is PBE-GGA.

Values from the calculation:
- Energy: -460.9 eV per cell
- Energy relative to the elements: -2.214 eV/atom

a = 14.257 Å, b = 14.257 Å, c = 14.257 Å
α = 149.91°, β = 116.24°, γ = 72.09°
Fractional positions:
Rb  0.057  0.750  0.807
Rb  0.061  0.805  0.512
Rb  0.206  0.451  0.012
Rb  0.294  0.305  0.244
Rb  0.439  0.951  0.744
Rb  0.443  0.250  0.693
Rb  0.557  0.750  0.307
Rb  0.561  0.049  0.256
Rb  0.706  0.695  0.756
Rb  0.794  0.549  0.988
Rb  0.939  0.195  0.488
Rb  0.943  0.250  0.193
B  0.169  0.919  0.250
B  0.331  0.581  0.750
B  0.669  0.419  0.250
B  0.831  0.081  0.750
S  0.031  0.292  0.010
S  0.189  0.250  0.439
S  0.218  0.979  0.510
S  0.282  0.792  0.761
S  0.311  0.750  0.061
S  0.469  0.479  0.261
S  0.531  0.521  0.739
S  0.689  0.250  0.939
S  0.718  0.208  0.239
S  0.782  0.021  0.490
S  0.811  0.750  0.561
S  0.969  0.708  0.990
O  0.020  0.574  0.950
O  0.055  0.901  0.181
O  0.061  0.359  0.176
O  0.109  0.363  0.527
O  0.118  0.225  0.940
O  0.124  0.070  0.550
O  0.165  0.137  0.246
O  0.183  0.859  0.798
O  0.200  0.789  0.075
O  0.213  0.125  0.425
O  0.216  0.822  0.440
O  0.220  0.874  0.319
O  0.280  0.599  0.654
O  0.284  0.725  0.607
O  0.287  0.711  0.912
O  0.300  0.375  0.588
O  0.317  0.115  0.676
O  0.335  0.581  0.973
O  0.376  0.926  0.946
O  0.382  0.322  0.107
O  0.391  0.919  0.254
O  0.439  0.615  0.298
O  0.445  0.626  0.846
O  0.480  0.430  0.554
O  0.520  0.570  0.446
O  0.555  0.374  0.154
O  0.561  0.385  0.702
O  0.609  0.081  0.746
O  0.618  0.678  0.893
O  0.624  0.074  0.054
O  0.665  0.419  0.027
O  0.683  0.885  0.324
O  0.700  0.625  0.412
O  0.713  0.289  0.088
O  0.716  0.275  0.393
O  0.720  0.401  0.346
O  0.780  0.126  0.681
O  0.784  0.178  0.560
O  0.787  0.875  0.575
O  0.800  0.211  0.925
O  0.817  0.141  0.202
O  0.835  0.863  0.754
O  0.876  0.930  0.450
O  0.882  0.775  0.060
O  0.891  0.637  0.473
O  0.939  0.641  0.824
O  0.945  0.099  0.819
O  0.980  0.426  0.050



(6)
This record from the Materials Project describes a relaxed structure of Si2Mo3. The functional is PBE-GGA.

Values from the calculation:
- Energy: -89.5 eV per cell
- Energy relative to the elements: -0.268 eV/atom
- Total moment: 0.0 Bohr magnetons per cell

a = 6.633 Å, b = 6.633 Å, c = 3.297 Å
α = 90.00°, β = 90.00°, γ = 90.00°
Fractional positions:
Si  0.134  0.366  0.000
Si  0.366  0.866  0.000
Si  0.634  0.134  0.000
Si  0.866  0.634  0.000
Mo  0.000  0.000  0.000
Mo  0.161  0.661  0.500
Mo  0.339  0.161  0.500
Mo  0.500  0.500  0.000
Mo  0.661  0.839  0.500
Mo  0.839  0.339  0.500